DFT (PBE-GGA) results for Ti8C5 after structural relaxation.

```
Ti8C5
1.0
3.0693 1.7721 4.9633
-3.0693 1.7721 4.9633
0.0000 -3.5442 4.9633
Ti C
8 5
direct
0.2386 0.7524 0.7524
0.2422 0.2422 0.2422
0.2476 0.2476 0.7614
0.2476 0.7614 0.2476
0.7524 0.2386 0.7524
0.7524 0.7524 0.2386
0.7578 0.7578 0.7578
0.7614 0.2476 0.2476
0.0000 0.0000 0.0000
0.0000 0.0000 0.5000
0.0000 0.5000 0.0000
0.5000 0.0000 0.0000
0.5000 0.5000 0.5000
```

Properties
The formation energy comes out at -9.339 eV per formula unit. The calculation puts the calculated density at 4.54 Mg/m³. The energy above the most stable polymorph in this dataset comes out at 0.0 meV per atom. Its crystal system is trigonal. Its electronic total energy is -118.646 eV/cell.